Rb9Fe7P10O40 | PBE+U | relaxed

POSCAR file:
```
Rb9Fe7P10O40
1.0
-9.397 0.000 3.523
-0.002 0.000 -13.682
0.000 -16.780 0.000
O Fe P Rb
80 14 20 18
Direct
0.054 0.013 0.231
0.941 0.189 0.047
0.749 0.552 0.320
0.336 0.877 0.205
0.674 0.457 0.043
0.107 0.885 0.091
0.312 0.881 0.002
0.080 0.856 0.284
0.174 0.457 0.457
0.955 0.015 0.617
0.836 0.877 0.295
0.585 0.577 0.114
0.607 0.885 0.409
0.639 0.609 0.961
0.286 0.830 0.575
0.085 0.577 0.386
0.329 0.084 0.172
0.441 0.189 0.453
0.786 0.830 0.925
0.347 0.588 0.787
0.975 0.258 0.383
0.214 0.170 0.075
0.812 0.881 0.498
0.188 0.119 0.502
0.688 0.119 0.998
0.714 0.170 0.425
0.338 0.652 0.450
0.671 0.916 0.828
0.603 0.898 0.976
0.653 0.412 0.213
0.662 0.348 0.550
0.140 0.589 0.706
0.897 0.102 0.476
0.893 0.115 0.909
0.946 0.987 0.769
0.415 0.423 0.886
0.387 0.639 0.643
0.162 0.348 0.950
0.545 0.985 0.117
0.045 0.985 0.383
0.144 0.712 0.060
0.059 0.811 0.953
0.420 0.144 0.784
0.826 0.543 0.543
0.838 0.652 0.050
0.455 0.015 0.883
0.640 0.589 0.794
0.153 0.412 0.287
0.887 0.639 0.857
0.446 0.987 0.731
0.025 0.742 0.617
0.847 0.588 0.713
0.251 0.448 0.680
0.164 0.123 0.705
0.356 0.288 0.560
0.361 0.391 0.039
0.360 0.411 0.206
0.139 0.609 0.539
0.920 0.144 0.716
0.559 0.811 0.547
0.113 0.361 0.143
0.326 0.543 0.957
0.861 0.391 0.461
0.829 0.084 0.328
0.644 0.712 0.440
0.397 0.102 0.024
0.103 0.898 0.524
0.664 0.123 0.795
0.525 0.742 0.883
0.915 0.423 0.614
0.171 0.916 0.672
0.613 0.361 0.357
0.554 0.013 0.269
0.856 0.288 0.940
0.751 0.448 0.820
0.860 0.411 0.294
0.393 0.115 0.591
0.475 0.258 0.117
0.249 0.552 0.180
0.580 0.856 0.216
0.308 0.056 0.689
0.512 0.411 0.132
0.988 0.589 0.632
0.488 0.589 0.868
0.000 0.000 0.500
0.859 0.720 0.943
0.500 0.000 0.000
0.808 0.056 0.811
0.141 0.280 0.057
0.641 0.280 0.443
0.012 0.411 0.368
0.192 0.944 0.189
0.359 0.720 0.557
0.692 0.944 0.311
0.318 0.428 0.957
0.001 0.066 0.699
0.279 0.561 0.703
0.501 0.066 0.801
0.499 0.934 0.199
0.342 0.182 0.528
0.221 0.439 0.203
0.779 0.561 0.797
0.644 0.846 0.903
0.158 0.818 0.028
0.721 0.439 0.297
0.856 0.154 0.403
0.818 0.428 0.543
0.182 0.572 0.457
0.658 0.818 0.472
0.356 0.154 0.097
0.144 0.846 0.597
0.842 0.182 0.972
0.999 0.934 0.301
0.682 0.572 0.043
0.581 0.293 0.928
0.034 0.643 0.217
0.419 0.707 0.072
0.966 0.357 0.783
0.534 0.643 0.283
0.262 0.780 0.817
0.500 0.500 0.500
0.738 0.220 0.183
0.081 0.293 0.572
0.762 0.780 0.683
0.238 0.220 0.317
0.845 0.955 0.091
0.655 0.045 0.591
0.155 0.045 0.909
0.345 0.955 0.409
0.466 0.357 0.717
0.000 0.500 0.000
0.919 0.707 0.428
```

Theoretical density   3.25 Mg/m³
Energy   -439.81 eV per formula unit

---

Sr2FeBiPbO6 | PBE+U | relaxed

POSCAR file:
```
Sr2FeBiPbO6
1.0
-1.899 1.899 11.945
1.899 -1.899 11.945
1.899 1.899 -11.945
Sr Pb Bi Fe O
2 1 1 1 6
Direct
0.923 0.923 0.000
0.081 0.081 0.000
0.692 0.692 0.000
0.308 0.308 0.000
0.507 0.507 0.000
0.191 0.191 0.000
0.998 0.498 0.500
0.592 0.592 0.000
0.813 0.813 0.000
0.498 0.998 0.500
0.397 0.397 0.000
```

Theoretical density   7.16 Mg/m³
Energy   -65.94 eV per formula unit

---

Ba2SmCrO6 | PBE+U | relaxed

POSCAR file:
```
Ba2SmCrO6
1.0
1.687 5.627 0.938
1.060 3.596 -4.618
-3.737 4.467 -1.210
Sm Cr Ba O
1 1 2 6
Direct
0.500 0.500 0.500
0.000 0.000 0.000
0.750 0.750 0.750
0.250 0.250 0.250
0.227 0.773 0.227
0.773 0.227 0.227
0.227 0.773 0.773
0.773 0.773 0.227
0.773 0.227 0.773
0.227 0.227 0.773
```

Theoretical density   6.39 Mg/m³
Energy   -70.04 eV per formula unit

---

Cs2AgMoF6 | PBE+U | relaxed

POSCAR file:
```
Cs2AgMoF6
1.0
-5.822 2.699 0.968
-3.782 1.462 -5.068
-5.394 -3.431 -1.121
F Ag Cs Mo
6 1 2 1
Direct
0.228 0.772 0.772
0.772 0.772 0.228
0.772 0.228 0.228
0.228 0.772 0.228
0.228 0.228 0.772
0.772 0.228 0.772
0.500 0.500 0.500
0.250 0.250 0.250
0.750 0.750 0.750
0.000 0.000 0.000
```

Theoretical density   5.01 Mg/m³
Energy   -47.04 eV per formula unit

---

Li3Mn2P3O12 | PBE+U | relaxed

POSCAR file:
```
Li3Mn2P3O12
1.0
4.381 7.495 0.000
-4.381 7.495 0.000
0.000 5.093 7.267
O Mn Li P
24 4 6 6
Direct
0.492 0.739 0.142
0.916 0.249 0.125
0.008 0.124 0.808
0.591 0.730 0.411
0.706 0.382 0.444
0.382 0.706 0.944
0.288 0.624 0.543
0.386 0.279 0.576
0.730 0.591 0.911
0.528 0.252 0.835
0.279 0.386 0.076
0.249 0.916 0.625
0.624 0.288 0.043
0.487 0.044 0.176
0.772 0.044 0.446
0.551 0.930 0.792
0.902 0.969 0.706
0.969 0.902 0.206
0.124 0.008 0.308
0.044 0.772 0.946
0.044 0.487 0.676
0.930 0.551 0.292
0.739 0.492 0.642
0.252 0.528 0.335
0.149 0.652 0.142
0.849 0.360 0.853
0.360 0.849 0.353
0.652 0.149 0.642
0.361 0.035 0.669
0.373 0.628 0.745
0.035 0.361 0.169
0.628 0.373 0.245
0.890 0.746 0.697
0.746 0.890 0.197
0.744 0.533 0.453
0.476 0.243 0.033
0.243 0.476 0.533
0.533 0.744 0.953
0.048 0.951 0.767
0.951 0.048 0.267
```

Theoretical density   2.89 Mg/m³
Energy   -138.76 eV per formula unit

---

MgTl4W2O8 | PBE+U | relaxed

POSCAR file:
```
MgTl4W2O8
1.0
-4.904 3.444 -2.119
1.554 -5.437 -2.902
-6.115 -4.980 6.056
W O Tl Mg
2 8 4 1
Direct
0.333 0.667 0.318
0.667 0.333 0.665
0.830 0.660 0.745
0.667 0.333 0.469
0.830 0.170 0.745
0.176 0.824 0.256
0.333 0.667 0.498
0.176 0.353 0.256
0.647 0.824 0.256
0.340 0.170 0.745
0.000 0.000 0.454
0.333 0.667 0.766
0.000 0.000 0.080
0.667 0.333 0.241
0.000 0.000 0.757
```

Theoretical density   6.38 Mg/m³
Energy   -85.82 eV per formula unit

---

CoSb2O18 | PBE+U | relaxed

POSCAR file:
```
CoSb2O18
1.0
-3.791 -0.653 -13.784
-7.421 -7.306 9.815
-5.282 6.878 1.127
O Sb Co
108 12 6
Direct
0.959 0.416 0.408
0.610 0.750 0.401
0.938 0.531 0.695
0.273 0.069 0.398
0.908 0.708 0.680
0.227 0.925 0.166
0.744 0.806 0.683
0.698 0.773 0.166
0.311 0.889 0.921
0.963 0.098 0.126
0.914 0.558 0.174
0.529 0.937 0.419
0.232 0.532 0.131
0.140 0.390 0.401
0.359 0.568 0.876
0.094 0.788 0.947
0.417 0.279 0.407
0.781 0.022 0.181
0.801 0.405 0.441
0.254 0.375 0.685
0.707 0.245 0.719
0.408 0.471 0.419
0.265 0.533 0.660
0.902 0.866 0.126
0.411 0.442 0.933
0.584 0.543 0.408
0.075 0.302 0.166
0.306 0.416 0.187
0.625 0.878 0.685
0.446 0.089 0.911
0.578 0.689 0.921
0.041 0.130 0.375
0.422 0.972 0.151
0.694 0.906 0.947
0.943 0.076 0.651
0.752 0.637 0.162
0.028 0.449 0.151
0.469 0.408 0.695
0.733 0.604 0.669
0.133 0.057 0.651
0.970 0.221 0.920
0.360 0.250 0.938
0.885 0.248 0.162
0.031 0.589 0.933
0.766 0.310 0.227
0.468 0.700 0.131
0.063 0.256 0.683
0.690 0.456 0.227
0.241 0.219 0.181
0.876 0.974 0.865
0.978 0.759 0.181
0.537 0.619 0.680
0.565 0.365 0.967
0.871 0.267 0.669
0.750 0.110 0.938
0.250 0.860 0.401
0.721 0.138 0.407
0.800 0.092 0.680
0.796 0.727 0.398
0.134 0.037 0.126
0.110 0.694 0.187
0.208 0.273 0.417
0.208 0.641 0.876
0.026 0.902 0.865
0.755 0.462 0.719
0.635 0.200 0.967
0.111 0.422 0.921
0.467 0.732 0.660
0.065 0.792 0.417
0.931 0.204 0.398
0.268 0.735 0.660
0.558 0.969 0.933
0.368 0.792 0.379
0.890 0.640 0.938
0.538 0.293 0.719
0.442 0.357 0.174
0.251 0.030 0.920
0.870 0.912 0.375
0.122 0.746 0.685
0.212 0.306 0.947
0.208 0.576 0.379
0.381 0.918 0.680
0.098 0.124 0.865
0.544 0.234 0.227
0.592 0.062 0.695
0.194 0.937 0.683
0.292 0.200 0.680
0.779 0.749 0.920
0.643 0.086 0.174
0.363 0.115 0.162
0.396 0.129 0.669
0.457 0.041 0.408
0.595 0.396 0.441
0.604 0.199 0.441
0.300 0.768 0.131
0.924 0.867 0.651
0.643 0.554 0.911
0.551 0.578 0.151
0.584 0.890 0.187
0.727 0.935 0.417
0.862 0.583 0.407
0.088 0.959 0.375
0.800 0.435 0.967
0.424 0.632 0.379
0.063 0.592 0.419
0.082 0.463 0.680
0.432 0.792 0.876
0.911 0.357 0.911
0.000 0.000 0.007
0.665 0.009 0.549
0.667 0.333 0.580
0.333 0.667 0.523
0.667 0.333 0.085
0.322 0.990 0.541
0.010 0.332 0.541
0.344 0.335 0.549
0.000 0.000 0.514
0.991 0.656 0.549
0.333 0.667 0.015
0.668 0.678 0.541
0.994 0.334 0.038
0.669 0.996 0.057
0.004 0.674 0.057
0.326 0.331 0.057
0.339 0.006 0.038
0.666 0.661 0.038
```

Theoretical density   3.79 Mg/m³
Energy   -87.26 eV per formula unit